Here is Sr2Ge2Se5 after structural relaxation from Materials Project. Energies are from GGA-PBE.

Results
E: -158.7 eV/cell
Calculated formation energy: -1326 meV per atom
Crystal system: monoclinic
Symmetry: P2_1/c, No. 14

a b c (Å): 12.4677 8.6055 12.2480
angles (deg): 49.43 90.00 90.00
Last column: nearest neighbours and their distance in Å.
Sites, in units of the cell vectors:
1 Sr 0.6620 0.9884 0.4671  7 Se 3.17-3.48
2 Se 0.2119 0.5151 0.7969  1 Ge 2.41
3 Ge 0.9809 0.5154 0.1874  3 Se 2.36-2.41, 1 Ge 2.49
4 Ge 0.5503 0.8413 0.1640  3 Se 2.37-2.48, 1 Ge 2.49
5 Se 0.4416 0.7494 0.4573  1 Ge 2.36
6 Se 0.7881 0.4849 0.2031  1 Ge 2.41
7 Se 0.9096 0.9033 0.4398  2 Ge 2.43-2.48
8 Ge 0.4497 0.1587 0.8360  3 Se 2.37-2.48, 1 Ge 2.49
9 Se 0.2881 0.5151 0.2969  1 Ge 2.41
10 Se 0.4910 0.6745 0.7883  1 Ge 2.39
11 Sr 0.3380 0.0116 0.5329  7 Se 3.17-3.48
12 Se 0.4096 0.0967 0.0602  2 Ge 2.43-2.48
13 Sr 0.8013 0.4648 0.4760  7 Se 3.10-3.45
14 Se 0.0584 0.7494 0.9573  1 Ge 2.36
15 Sr 0.3013 0.5352 0.0240  7 Se 3.10-3.45
16 Se 0.0090 0.6745 0.2883  1 Ge 2.39
17 Ge 0.0191 0.4846 0.8126  3 Se 2.36-2.41, 1 Ge 2.49
18 Ge 0.9497 0.8413 0.6640  3 Se 2.37-2.48, 1 Ge 2.49
19 Sr 0.8380 0.9884 0.9671  7 Se 3.17-3.48
20 Se 0.7119 0.4849 0.7031  1 Ge 2.41
21 Se 0.5090 0.3255 0.2117  1 Ge 2.39
22 Se 0.7056 0.9373 0.2197  1 Ge 2.37
23 Se 0.0904 0.0967 0.5602  2 Ge 2.43-2.48
24 Sr 0.6987 0.4648 0.9760  7 Se 3.10-3.45
25 Se 0.2944 0.0627 0.7803  1 Ge 2.37
26 Ge 0.0503 0.1587 0.3360  3 Se 2.37-2.48, 1 Ge 2.49
27 Sr 0.1987 0.5352 0.5240  7 Se 3.10-3.45
28 Ge 0.5191 0.5154 0.6874  3 Se 2.36-2.41, 1 Ge 2.49
29 Se 0.2056 0.0627 0.2803  1 Ge 2.37
30 Se 0.9416 0.2506 0.0427  1 Ge 2.36
31 Se 0.7944 0.9373 0.7197  1 Ge 2.37
32 Ge 0.4809 0.4846 0.3126  3 Se 2.36-2.41, 1 Ge 2.49
33 Se 0.5904 0.9033 0.9398  2 Ge 2.43-2.48
34 Se 0.5584 0.2506 0.5427  1 Ge 2.36
35 Sr 0.1620 0.0116 0.0329  7 Se 3.17-3.48
36 Se 0.9910 0.3255 0.7117  1 Ge 2.39

***

Here is BaMg2N2 after structural relaxation from Materials Project. Energies are from GGA-PBE.

Results
E: -24.6 eV/cell
Calculated formation energy: -697 meV per atom
Crystal system: trigonal
Symmetry: P-3m1, No. 164

a b c (Å): 3.7273 3.7273 6.7557
angles (deg): 90.00 90.00 120.00
Last column: nearest neighbours and their distance in Å.
Sites, in units of the cell vectors:
1 N 0.6667 0.3333 0.7944  4 Mg 2.22
2 Mg 0.6667 0.3333 0.1226  4 N 2.22
3 Ba 0.0000 0.0000 0.5000  6 N 2.93
4 Mg 0.3333 0.6667 0.8774  4 N 2.22
5 N 0.3333 0.6667 0.2056  4 Mg 2.22

***

Here is Li2SbPO2F6 after structural relaxation from Materials Project. Energies are from GGA-PBE.

Results
E: -127.6 eV/cell
Calculated formation energy: -2765 meV per atom
Crystal system: triclinic
Symmetry: P1, No. 1

a b c (Å): 6.0870 7.8713 8.1725
angles (deg): 88.16 85.62 77.79
Last column: nearest neighbours and their distance in Å.
Sites, in units of the cell vectors:
1 F 0.8646 0.8255 0.3924  2 Li 1.81-1.93
2 F 0.2003 0.1502 0.6223  1 Li 1.84
3 Sb 0.4300 0.2412 0.7681  4 F 2.01-2.15
4 Li 0.3005 0.9148 0.5901  2 F 1.84-1.89, 1 O 1.96
5 F 0.0106 0.1427 0.3261  1 P 1.59
6 F 0.7263 0.2944 0.8589  1 Li 1.79
7 P 0.2234 0.1967 0.2313  2 O 1.49, 2 F 1.59
8 F 0.3564 0.7253 0.4450  2 Li 1.82-1.89
9 O 0.5854 0.9170 0.6862  1 P 1.49
10 F 0.9971 0.8444 0.7274  1 P 1.58
11 O 0.7369 0.8332 0.9731  1 P 1.49
12 F 0.7857 0.6163 0.7478  1 P 1.57
13 F 0.3248 0.7054 0.1011  1 Sb 1.98
14 O 0.4326 0.0754 0.2803  1 P 1.49
15 F 0.2241 0.4764 0.7628  1 Sb 2.01
16 F 0.2060 0.3797 0.3149  1 P 1.59
17 Sb 0.5876 0.7401 0.2142  2 F 1.98-2.05
18 O 0.1726 0.2270 0.0560  1 P 1.49
19 P 0.7571 0.8126 0.7910  2 O 1.49, 2 F 1.57-1.58
20 Li 0.7072 0.0641 0.4189  3 F 1.93-2.15, 1 O 2.07
21 F 0.5899 0.2717 0.5470  1 Li 1.94, 1 Sb 2.02
22 F 0.7646 0.4969 0.1524  1 Li 1.95, 1 Sb 2.05
23 Li 0.1026 0.6474 0.4146  2 F 1.81-1.82
24 Li 0.9272 0.3860 0.9558  2 F 1.79-1.95, 1 O 1.95